## A
This record from Materials Project describes a relaxed structure of Li3MnP2O8. The functional is PBE+U.

Results
Crystal system ... triclinic
ρ ... 3.110 g/cm3

CIF file:
```
data_Li3MnP2O8
_space_group_name_H-M_alt 'P 1'
_space_group_IT_number 1
_space_group_name_Hall 'P 1'
_cell_length_a 4.8568
_cell_length_b 4.9941
_cell_length_c 12.6155
_cell_angle_alpha 92.53
_cell_angle_beta 91.78
_cell_angle_gamma 111.67
loop_
_atom_site_label
_atom_site_type_symbol
_atom_site_fract_x
_atom_site_fract_y
_atom_site_fract_z
Li1 Li 0.0000 0.0000 0.0000
Li2 Li 0.9998 0.9998 0.5000
Li3 Li 0.3333 0.6826 0.8881
Li4 Li 0.3347 0.6844 0.3882
Li5 Li 0.6638 0.3146 0.6121
Li6 Li 0.6654 0.3164 0.1122
Mn1 Mn 0.0000 0.9998 0.2498
Mn2 Mn 0.9981 0.9983 0.7502
P1 P 0.3478 0.6508 0.6315
P2 P 0.3492 0.6526 0.1313
P3 P 0.6491 0.3459 0.8689
P4 P 0.6500 0.3471 0.3687
O1 O 0.2392 0.7602 0.2344
O2 O 0.2386 0.7597 0.7346
O3 O 0.2430 0.3164 0.6281
O4 O 0.2455 0.3183 0.1279
O5 O 0.2496 0.7638 0.5337
O6 O 0.2502 0.7649 0.0334
O7 O 0.2960 0.2334 0.8613
O8 O 0.2967 0.2345 0.3611
O9 O 0.7010 0.7629 0.6392
O10 O 0.7022 0.7651 0.1389
O11 O 0.7481 0.2336 0.9668
O12 O 0.7484 0.2345 0.4666
O13 O 0.7528 0.6803 0.8723
O14 O 0.7548 0.6814 0.3721
O15 O 0.7590 0.2381 0.7658
O16 O 0.7596 0.2386 0.2656
```

***

## B
This record from Materials Project describes a relaxed structure of Li3MnP2O8. The functional is PBE+U.

Results
Crystal system ... triclinic
ρ ... 2.592 g/cm3

CIF file:
```
data_Li3MnP2O8
_space_group_name_H-M_alt 'P 1'
_space_group_IT_number 1
_space_group_name_Hall 'P 1'
_cell_length_a 8.0879
_cell_length_b 8.4731
_cell_length_c 10.4139
_cell_angle_alpha 90.04
_cell_angle_beta 90.02
_cell_angle_gamma 107.45
loop_
_atom_site_label
_atom_site_type_symbol
_atom_site_fract_x
_atom_site_fract_y
_atom_site_fract_z
Li1 Li 0.0000 0.0000 0.0000
Li2 Li 0.0005 0.0017 0.5049
Li3 Li 0.0071 0.5080 0.6662
Li4 Li 0.0844 0.8362 0.7735
Li5 Li 0.1266 0.3825 0.9165
Li6 Li 0.1297 0.8741 0.2624
Li7 Li 0.2516 0.7351 0.4770
Li8 Li 0.2573 0.2489 0.6882
Li9 Li 0.4291 0.4536 0.0019
Li10 Li 0.4384 0.9598 0.1687
Li11 Li 0.8017 0.2611 0.4873
Li12 Li 0.9675 0.4405 0.1870
Mn1 Mn 0.4961 0.4651 0.4885
Mn2 Mn 0.5063 0.9601 0.6696
Mn3 Mn 0.7221 0.2402 0.9914
Mn4 Mn 0.7296 0.7403 0.1753
P1 P 0.3287 0.5887 0.2358
P2 P 0.3312 0.0881 0.9167
P3 P 0.4020 0.6514 0.7530
P4 P 0.4085 0.1496 0.4187
P5 P 0.8255 0.0542 0.2510
P6 P 0.8268 0.5562 0.9201
P7 P 0.8859 0.6287 0.4224
P8 P 0.9037 0.1306 0.7449
O1 O 0.0280 0.7978 0.4411
O2 O 0.0315 0.3074 0.7310
O3 O 0.1895 0.9244 0.9410
O4 O 0.1986 0.4326 0.1844
O5 O 0.2669 0.2348 0.9543
O6 O 0.2800 0.7466 0.2083
O7 O 0.2912 0.7493 0.6748
O8 O 0.3040 0.2482 0.4973
O9 O 0.3212 0.5785 0.8782
O10 O 0.3302 0.0832 0.2909
O11 O 0.3614 0.5863 0.3838
O12 O 0.3867 0.1043 0.7731
O13 O 0.4249 0.5127 0.6648
O14 O 0.4264 0.0028 0.5008
O15 O 0.4947 0.0856 0.0024
O16 O 0.5048 0.5884 0.1630
O17 O 0.5724 0.7994 0.7713
O18 O 0.5872 0.2908 0.4100
O19 O 0.6438 0.4188 0.9135
O20 O 0.6445 0.9161 0.2490
O21 O 0.7111 0.6399 0.4808
O22 O 0.7383 0.1233 0.6608
O23 O 0.8153 0.1981 0.1641
O24 O 0.8156 0.7002 0.0042
O25 O 0.8526 0.1005 0.8894
O26 O 0.8602 0.5978 0.2744
O27 O 0.8885 0.1119 0.3840
O28 O 0.9088 0.6163 0.7920
O29 O 0.9252 0.4435 0.9922
O30 O 0.9365 0.9503 0.1840
O31 O 0.9457 0.4928 0.4879
O32 O 0.9937 0.0075 0.6932
```

***

It is B that is the least stable of them.

***

## A
This record from Materials Project describes a relaxed structure of LiV4P3O12. The functional is PBE+U.

Results
Crystal system ... orthorhombic
ρ ... 3.486 g/cm3

CIF file:
```
data_LiV4P3O12
_space_group_name_H-M_alt 'P n m a'
_space_group_IT_number 62
_space_group_name_Hall '-P 2ac 2n'
_cell_length_a 6.5235
_cell_length_b 14.4194
_cell_length_c 10.0381
_cell_angle_alpha 90.00
_cell_angle_beta 90.00
_cell_angle_gamma 90.00
loop_
_atom_site_label
_atom_site_type_symbol
_atom_site_fract_x
_atom_site_fract_y
_atom_site_fract_z
Li1 Li 0.0554 0.2500 0.2400
V1 V 0.1499 0.5981 0.9518
V2 V 0.1534 0.6093 0.3469
P1 P 0.0060 0.7500 0.0961
P2 P 0.1465 0.5747 0.6309
O1 O 0.0238 0.1145 0.4629
O2 O 0.0634 0.7500 0.9450
O3 O 0.0831 0.0137 0.7075
O4 O 0.0983 0.6589 0.1519
O5 O 0.1777 0.0516 0.0249
O6 O 0.2175 0.6461 0.7346
O7 O 0.2272 0.2500 0.8818
```

***

## B
This record from Materials Project describes a relaxed structure of LiV4P3O12. The functional is PBE+U.

Results
Crystal system ... tetragonal
ρ ... 3.685 g/cm3

CIF file:
```
data_LiV4P3O12
_space_group_name_H-M_alt 'I -4 2 d'
_space_group_IT_number 122
_space_group_name_Hall 'I -4 2bw'
_cell_length_a 6.8283
_cell_length_b 6.8283
_cell_length_c 19.1586
_cell_angle_alpha 90.00
_cell_angle_beta 90.00
_cell_angle_gamma 90.00
loop_
_atom_site_label
_atom_site_type_symbol
_atom_site_fract_x
_atom_site_fract_y
_atom_site_fract_z
Li1 Li 0.0000 0.0000 0.0000
V1 V 0.0000 0.0000 0.2729
V2 V 0.2450 0.2500 0.6250
P1 P 0.0000 0.0000 0.5000
P2 P 0.1474 0.7500 0.1250
O1 O 0.0047 0.7161 0.0608
O2 O 0.0471 0.1887 0.5424
O3 O 0.0642 0.2357 0.3551
```

***

It is A that is the least stable of them.

***

## A
This record from Materials Project describes a relaxed structure of MgMn3CuO8. The functional is PBE+U.

Results
Crystal system ... monoclinic
ρ ... 4.263 g/cm3

CIF file:
```
data_MgMn3CuO8
_space_group_name_H-M_alt 'C 1 m 1'
_space_group_IT_number 8
_space_group_name_Hall 'C -2y'
_cell_length_a 10.3835
_cell_length_b 5.8493
_cell_length_c 5.8978
_cell_angle_alpha 90.00
_cell_angle_beta 124.11
_cell_angle_gamma 90.00
loop_
_atom_site_label
_atom_site_type_symbol
_atom_site_fract_x
_atom_site_fract_y
_atom_site_fract_z
Mg1 Mg 0.0000 0.0000 0.0000
Mn1 Mn 0.1145 0.5000 0.8628
Mn2 Mn 0.3676 0.2456 0.3697
Cu1 Cu 0.1152 0.5000 0.3705
O1 O 0.0883 0.2751 0.5979
O2 O 0.1382 0.2721 0.1308
O3 O 0.3594 0.5000 0.5844
O4 O 0.3629 0.0000 0.5776
O5 O 0.3675 0.5000 0.1473
O6 O 0.3767 0.0000 0.1633
```

***

## B
This record from Materials Project describes a relaxed structure of MgMn3CuO8. The functional is PBE+U.

Results
Crystal system ... triclinic
ρ ... 4.243 g/cm3

CIF file:
```
data_MgMn3CuO8
_space_group_name_H-M_alt 'P -1'
_space_group_IT_number 2
_space_group_name_Hall '-P 1'
_cell_length_a 5.7708
_cell_length_b 5.9437
_cell_length_c 5.9664
_cell_angle_alpha 119.23
_cell_angle_beta 118.66
_cell_angle_gamma 90.20
loop_
_atom_site_label
_atom_site_type_symbol
_atom_site_fract_x
_atom_site_fract_y
_atom_site_fract_z
Mg1 Mg 0.0000 0.0000 0.0000
Mn1 Mn 0.0000 0.5000 0.5000
Mn2 Mn 0.5000 0.5000 0.0000
Mn3 Mn 0.5000 0.5000 0.5000
Cu1 Cu 0.0000 0.5000 0.0000
O1 O 0.2258 0.7013 0.9461
O2 O 0.2376 0.2730 0.4763
O3 O 0.2390 0.7027 0.4764
O4 O 0.2788 0.2977 0.0532
```

***

It is B that is the least stable of them.